CeO2 | GGA-PBE | optimized geometry

The structure belongs to space group P6_3/mmc (No. 194); the cell edges are 3.8201, 3.8201 and 5.9981 Å and the angles 90.00°, 90.00° and 120.00°. The inequivalent atoms are Ce at (0.3333, 0.6667, 0.2500), O at (0.0000, 0.0000, 0.0000) and O at (0.3333, 0.6667, 0.7500).

Its total energy after the MP2020 corrections is -52.65 eV/cell. As for the formation energy from the elements: -3499 meV per atom. For the theoretical density, the calculation gives 7.54 g cm⁻³.